DFT (PBE) results for crystalline Na8CaHf3Si5SO24 at its relaxed geometry.

Cell and atoms, written as extended XYZ:
```
126
Lattice="9.2939 0.0000 0.0000 -4.6426 8.0542 0.0000 -0.0738 -0.1065 22.7662" Properties=species:S:1:pos:R:3 pbc="T T T"
Na 0.0000 0.0000 0.0000
Na -1.6582 2.8986 5.5909
Na -1.6646 2.8923 16.9285
Na -3.3304 5.9389 11.2052
Na -2.8930 5.3945 18.6343
Na 0.0377 0.4622 7.4155
Na 1.1293 2.6029 18.6403
Na -0.4311 5.5674 7.4133
Na -0.0507 5.2075 14.9705
Na 2.9639 0.1917 9.4033
Na 1.3781 3.1392 3.7018
Na 3.1196 0.1539 20.5924
Na 1.8188 2.7659 11.1932
Na -0.0094 5.9107 22.7231
Na 1.1574 7.9702 11.0402
Na 4.2315 2.6126 22.6210
Na 4.6722 2.6133 7.4202
Na 2.9620 5.6542 1.8722
Na 3.0293 5.4573 12.8934
Na 5.9271 0.5328 18.8698
Na 6.2814 0.0965 3.6525
Na 4.5671 3.1325 14.7361
Na 5.9285 5.4104 3.7159
Na 9.0281 0.1394 14.8019
Ca 2.8909 0.1945 12.6126
Ca 3.0359 0.2245 1.4667
Ca 7.5558 2.7919 20.1562
Hf -1.6771 2.8824 8.8095
Hf -1.6307 2.9273 13.3851
Hf 2.8330 0.1289 17.2958
Hf 2.9879 0.1901 5.8635
Hf 2.9710 5.4638 16.4662
Hf 2.9806 5.5761 5.1260
Hf 2.9859 5.5519 9.6799
Hf 2.9070 5.5834 20.9443
Hf 7.5957 2.7766 2.2228
Si 0.2027 0.1682 3.5333
Si -3.1016 5.7709 14.9394
Si -0.2546 5.2141 11.0886
Si 1.5470 2.5907 14.9494
Si -0.2443 5.8244 3.5270
Si 1.6183 3.1830 7.3521
Si 0.2080 5.5998 18.6861
Si 4.3420 2.6541 3.5387
Si 4.2454 3.1226 18.7584
Si 1.5993 7.9343 7.3644
Si 6.1853 0.3570 22.4744
Si 4.9136 2.9097 11.1155
Si 4.3384 7.8540 18.6875
Si 5.7223 5.5829 7.3582
Si 8.9043 0.4963 11.1164
S 1.0403 2.8571 22.5254
S 5.7131 0.1610 14.9897
S 6.1544 5.1773 22.5290
O -0.7676 1.4305 9.8221
O -2.3960 4.2663 14.8850
O -2.5798 4.5907 21.3117
O -0.7142 1.5736 3.4551
O -3.7046 7.9435 2.1352
O -2.9528 6.6678 13.6261
O -2.6162 6.5535 22.6387
O -3.3009 7.9003 18.6272
O -2.6351 6.9293 7.1919
O 1.2163 0.3561 11.1009
O -2.3825 6.5440 16.2440
O -0.1140 2.6413 14.8723
O 1.2510 0.4290 4.7738
O -0.9669 4.3327 3.3616
O -0.8951 4.4364 9.8007
O -0.0163 3.0203 7.4389
O -0.7300 4.2955 18.7532
O 0.2478 2.7595 21.3014
O -0.5871 4.2864 12.4472
O 0.2173 3.1058 0.9573
O -1.0081 6.5924 4.7774
O 1.8816 1.5800 16.2475
O 1.8885 1.6490 22.6138
O -0.9043 6.6822 11.1467
O 2.3182 1.7013 7.1780
O -0.6582 6.9953 18.6026
O -0.3255 6.6601 2.1597
O 2.3281 2.0811 13.6516
O 1.9009 4.1331 6.0475
O 1.9033 4.0971 22.5019
O 1.1912 5.4525 17.4059
O 1.3882 5.2601 11.0334
O 2.0842 4.1433 15.1604
O 3.5294 1.6452 18.6160
O 2.3156 3.9100 8.6453
O 1.3649 5.6054 3.7788
O 1.1866 5.7732 20.0359
O 4.6086 0.0159 7.1941
O 4.5690 0.1587 22.5512
O 3.6915 2.1899 2.1491
O 0.2972 7.9877 13.7711
O 4.0045 1.5799 11.1266
O 4.0735 1.5947 4.7741
O 4.8114 0.3190 16.1744
O 3.5855 3.8571 20.1036
O 1.8752 6.9616 8.6576
O 1.9754 7.0361 15.1455
O 3.7706 4.1654 3.7899
O 3.8564 4.0663 17.4802
O 2.3387 6.9106 22.4713
O 2.2757 7.2267 6.0529
O 4.0213 4.2981 11.0403
O 6.4758 1.2083 21.1516
O 6.5488 1.3966 14.9264
O 5.8946 2.7929 9.8067
O 6.0138 2.7736 3.4188
O 3.5104 7.0824 11.0426
O 6.9382 1.2854 1.0222
O 5.8501 3.0161 18.7251
O 5.8672 3.0754 12.4764
O 6.9162 1.3773 7.4482
O 4.6429 5.2176 22.4776
O 4.5540 5.5779 15.1395
O 3.8318 6.9654 3.7730
O 3.6938 7.0883 17.4130
O 4.7675 5.3636 6.0477
O 4.0349 6.9006 20.0292
O 4.7425 5.8159 8.6523
O 8.2769 1.2299 12.4796
O 6.5727 4.4434 0.9581
O 6.6743 4.2446 7.4354
O 8.3945 1.2913 18.7208
```

DFT (PBE) results for crystalline CeMg14BO16 at its relaxed geometry.

Summary:
The energy relative to the lowest polymorph listed for this composition is 0.28 eV per formula unit.

Cell and atoms, written as extended XYZ:
```
32
Lattice="4.3661 0.0000 0.0000 0.0000 8.7540 0.0000 0.0000 0.0000 8.7861" Properties=species:S:1:pos:R:3 pbc="T T T"
Ce 0.0000 0.0000 0.0000
Mg 0.0000 2.2431 2.3220
Mg 0.0000 2.2431 6.4641
Mg 0.0000 4.3770 0.0000
Mg 0.0000 4.3770 4.3931
Mg 0.0000 6.5108 2.3220
Mg 0.0000 6.5108 6.4641
Mg 2.1831 0.0000 2.3998
Mg 2.1831 0.0000 6.3863
Mg 2.1831 2.1764 4.3931
Mg 2.1831 2.3362 0.0000
Mg 2.1831 4.3770 2.2427
Mg 2.1831 4.3770 6.5434
Mg 2.1831 6.4178 0.0000
Mg 2.1831 6.5775 4.3931
B 0.0000 0.0000 4.3931
O 0.0000 0.0000 2.2391
O 0.0000 0.0000 6.5471
O 0.0000 2.3371 0.0000
O 0.0000 2.3658 4.3931
O 0.0000 4.3770 2.1882
O 0.0000 4.3770 6.5979
O 0.0000 6.3882 4.3931
O 0.0000 6.4169 0.0000
O 2.1831 0.0000 0.0000
O 2.1831 0.0000 4.3931
O 2.1831 2.1742 2.1931
O 2.1831 2.1742 6.5930
O 2.1831 4.3770 0.0000
O 2.1831 4.3770 4.3931
O 2.1831 6.5798 2.1931
O 2.1831 6.5798 6.5930
```

DFT (PBE) results for crystalline MgAg20Bi4O16 at its relaxed geometry.

Summary:
The energy relative to the lowest polymorph listed for this composition is 1.03 eV per formula unit.

Cell and atoms, written as extended XYZ:
```
41
Lattice="6.0015 0.0000 0.0000 0.6619 9.1126 0.0000 1.2408 1.1748 13.4326" Properties=species:S:1:pos:R:3 pbc="T T T"
Mg 0.0000 0.0000 0.0000
Ag 1.7986 4.2758 11.0774
Ag 1.9069 7.5440 9.1540
Ag 1.5141 1.6924 7.2289
Ag 2.0619 7.4894 5.9876
Ag 1.8657 7.5382 2.6849
Ag 2.2163 5.1812 0.7813
Ag 3.6299 10.0238 10.7836
Ag 3.1002 5.0788 7.5690
Ag 2.8716 0.4776 4.4040
Ag 5.3534 9.2446 13.3645
Ag 4.3198 2.8537 5.9045
Ag 4.6317 2.9793 9.2557
Ag 4.5656 6.1985 4.6853
Ag 4.4861 2.7307 2.7732
Ag 5.4579 3.5193 12.7248
Ag 5.2657 4.8415 0.8376
Ag 6.6223 10.0330 10.8203
Ag 6.1051 5.0255 7.5499
Ag 5.8223 0.4758 4.3910
Ag 7.5679 7.8118 12.3080
Bi 1.4285 4.1921 4.3961
Bi 1.6237 2.0052 1.4454
Bi 4.7710 6.4255 10.7200
Bi 5.0833 8.6012 7.6399
O 0.8867 4.1437 2.0731
O 1.2793 6.3510 4.3422
O 1.6243 2.1866 11.7537
O 1.6027 3.8319 6.6730
O 1.3870 1.7527 3.5858
O 2.3142 8.8686 1.0949
O 2.8826 8.7437 7.5984
O 3.6321 4.1629 4.2524
O 4.3901 4.2527 10.9527
O 5.0328 6.8579 12.9783
O 4.6440 6.2987 8.3551
O 5.0555 8.7822 9.8675
O 4.9757 8.3167 5.2469
O 4.9301 1.6818 7.5725
O 5.4915 1.6535 1.1053
O 6.9420 6.2530 10.5986
```

no.,formation energy (eV/atom),energy with MP2020 corrections (eV per atom)
1,-2.999,-7.582
2,-2.739,-6.307
3,-0.672,-4.403